Entry 1:
# WSe2 GGA-PBE relaxed
# E in eV per atom: -7.208
data_WSe2
_cell_length_a 3.327
_cell_length_b 3.327
_cell_length_c 15.069
_cell_angle_alpha 90.00
_cell_angle_beta 90.00
_cell_angle_gamma 120.00
_space_group_name_H-M_alt 'P 1'
_space_group_IT_number 1
loop_
_space_group_symop_operation_xyz
'x,y,z'
loop_
_atom_site_label
_atom_site_type_symbol
_atom_site_fract_x
_atom_site_fract_y
_atom_site_fract_z
W1 W 0.333 0.667 0.250
W2 W 0.667 0.333 0.750
Se1 Se 0.333 0.667 0.638
Se2 Se 0.333 0.667 0.862
Se3 Se 0.667 0.333 0.138
Se4 Se 0.667 0.333 0.362

Entry 2:
# WSe2 GGA-PBE relaxed
# E in eV per atom: -7.207
data_WSe2
_cell_length_a 3.326
_cell_length_b 3.326
_cell_length_c 32.590
_cell_angle_alpha 90.00
_cell_angle_beta 90.00
_cell_angle_gamma 120.00
_space_group_name_H-M_alt 'P 1'
_space_group_IT_number 1
loop_
_space_group_symop_operation_xyz
'x,y,z'
loop_
_atom_site_label
_atom_site_type_symbol
_atom_site_fract_x
_atom_site_fract_y
_atom_site_fract_z
W1 W 0.000 0.000 0.000
W2 W 0.667 0.333 0.231
W3 W 0.667 0.333 0.769
Se1 Se 0.000 0.000 0.180
Se2 Se 0.000 0.000 0.283
Se3 Se 0.000 0.000 0.717
Se4 Se 0.000 0.000 0.820
Se5 Se 0.667 0.333 0.052
Se6 Se 0.667 0.333 0.948

Entry 3:
# ZnW2Se4 GGA-PBE relaxed
# E in eV per atom: -6.250
# Magnetization in μB/atom: 0.0001
data_ZnW2Se4
_cell_length_a 3.311
_cell_length_b 3.311
_cell_length_c 17.958
_cell_angle_alpha 90.00
_cell_angle_beta 90.00
_cell_angle_gamma 120.00
_space_group_name_H-M_alt 'P 1'
_space_group_IT_number 1
loop_
_space_group_symop_operation_xyz
'x,y,z'
loop_
_atom_site_label
_atom_site_type_symbol
_atom_site_fract_x
_atom_site_fract_y
_atom_site_fract_z
Zn1 Zn 0.000 0.000 0.000
W1 W 0.000 0.000 0.261
W2 W 0.333 0.667 0.727
Se1 Se 0.000 0.000 0.633
Se2 Se 0.000 0.000 0.822
Se3 Se 0.333 0.667 0.167
Se4 Se 0.333 0.667 0.355

Entry 4:
# Y2Se3 GGA-PBE relaxed
# E in eV per atom: -6.580
data_Y2Se3
_cell_length_a 13.614
_cell_length_b 12.995
_cell_length_c 7.116
_cell_angle_alpha 79.35
_cell_angle_beta 69.73
_cell_angle_gamma 30.91
_space_group_name_H-M_alt 'P 1'
_space_group_IT_number 1
loop_
_space_group_symop_operation_xyz
'x,y,z'
loop_
_atom_site_label
_atom_site_type_symbol
_atom_site_fract_x
_atom_site_fract_y
_atom_site_fract_z
Y1 Y 0.041 0.041 0.209
Y2 Y 0.127 0.127 0.623
Y3 Y 0.209 0.209 0.041
Y4 Y 0.377 0.377 0.873
Y5 Y 0.623 0.623 0.127
Y6 Y 0.791 0.791 0.959
Y7 Y 0.873 0.873 0.377
Y8 Y 0.959 0.959 0.791
Se1 Se 0.049 0.539 0.195
Se2 Se 0.117 0.633 0.633
Se3 Se 0.195 0.717 0.049
Se4 Se 0.283 0.805 0.461
Se5 Se 0.367 0.883 0.883
Se6 Se 0.461 0.951 0.283
Se7 Se 0.539 0.049 0.717
Se8 Se 0.633 0.117 0.117
Se9 Se 0.717 0.195 0.539
Se10 Se 0.805 0.283 0.951
Se11 Se 0.883 0.367 0.367
Se12 Se 0.951 0.461 0.805

| no. | DFT formation energy (eV/atom) |
| --- | --- |
| 1 | -0.87 |
| 2 | -0.87 |
| 3 | -0.64 |
| 4 | -2.18 |